1.
DFT (GGA-PBE) results for a relaxed Cs3AlP2 crystal.

a b c (Å): 11.4227 8.7676 19.2327
angles (deg): 90.00 100.36 90.00
Closest atoms and distances in Å follow each position.
Sites, in units of the cell vectors:
Cs1 0.0822 0.0580 0.2440  4 P 3.55-3.76, 1 Al 3.89
Cs2 0.0822 0.4420 0.7440  4 P 3.55-3.76, 1 Al 3.89
Cs3 0.1501 0.5246 0.9674  4 P 3.62-3.97, 2 Al 3.86-3.89, 2 Cs 3.88-3.98
Cs4 0.1501 0.9754 0.4674  4 P 3.62-3.97, 2 Al 3.86-3.89, 2 Cs 3.88-3.98
Cs5 0.2642 0.0867 0.9212  2 Al 3.63-3.88, 3 P 3.67-3.99, 1 Cs 3.90
Cs6 0.2642 0.4133 0.4212  2 Al 3.63-3.88, 3 P 3.67-3.99, 1 Cs 3.90
Cs7 0.2898 0.1187 0.6611  4 P 3.58-3.88, 1 Al 3.85, 2 Cs 3.98-4.00
Cs8 0.2898 0.3813 0.1611  4 P 3.58-3.88, 1 Al 3.85, 2 Cs 3.98-4.00
Cs9 0.3607 0.7427 0.2889  4 P 3.53-3.73, 1 Cs 3.83, 1 Al 3.84
Cs10 0.3607 0.7573 0.7889  4 P 3.53-3.73, 1 Cs 3.83, 1 Al 3.84
Cs11 0.3762 0.5687 0.6115  4 P 3.69-3.96, 2 Al 3.78-3.92, 2 Cs 3.83-3.90
Cs12 0.3762 0.9313 0.1115  4 P 3.69-3.96, 2 Al 3.78-3.92, 2 Cs 3.83-3.90
Cs13 0.6238 0.0687 0.8885  4 P 3.69-3.96, 2 Al 3.78-3.92, 2 Cs 3.83-3.90
Cs14 0.6238 0.4313 0.3885  4 P 3.69-3.96, 2 Al 3.78-3.92, 2 Cs 3.83-3.90
Cs15 0.6393 0.2427 0.2111  4 P 3.53-3.73, 1 Cs 3.83, 1 Al 3.84
Cs16 0.6393 0.2573 0.7111  4 P 3.53-3.73, 1 Cs 3.83, 1 Al 3.84
Cs17 0.7102 0.6187 0.8389  4 P 3.58-3.88, 1 Al 3.85, 2 Cs 3.98-4.00
Cs18 0.7102 0.8813 0.3389  4 P 3.58-3.88, 1 Al 3.85, 2 Cs 3.98-4.00
Cs19 0.7358 0.5867 0.5788  2 Al 3.63-3.88, 3 P 3.67-3.99, 1 Cs 3.90
Cs20 0.7358 0.9133 0.0788  2 Al 3.63-3.88, 3 P 3.67-3.99, 1 Cs 3.90
Cs21 0.8499 0.0246 0.5326  4 P 3.62-3.97, 2 Al 3.86-3.89, 2 Cs 3.88-3.98
Cs22 0.8499 0.4754 0.0326  4 P 3.62-3.97, 2 Al 3.86-3.89, 2 Cs 3.88-3.98
Cs23 0.9178 0.5580 0.2560  4 P 3.55-3.76, 1 Al 3.89
Cs24 0.9178 0.9420 0.7560  4 P 3.55-3.76, 1 Al 3.89
Al1 0.0433 0.6127 0.5545  3 P 2.26-2.36
Al2 0.0433 0.8873 0.0545  3 P 2.26-2.36
Al3 0.4639 0.0534 0.4274  3 P 2.28-2.38
Al4 0.4639 0.4466 0.9274  3 P 2.28-2.38
Al5 0.5361 0.5534 0.0726  3 P 2.28-2.38
Al6 0.5361 0.9466 0.5726  3 P 2.28-2.38
Al7 0.9567 0.1127 0.9455  3 P 2.26-2.36
Al8 0.9567 0.3873 0.4455  3 P 2.26-2.36
P1 0.0538 0.1563 0.0627  2 Al 2.36
P2 0.0538 0.3437 0.5627  2 Al 2.36
P3 0.1036 0.7130 0.1399  1 Al 2.26
P4 0.1036 0.7870 0.6399  1 Al 2.26
P5 0.4045 0.1387 0.3146  1 Al 2.28
P6 0.4045 0.3613 0.8146  1 Al 2.28
P7 0.4937 0.7020 0.9683  2 Al 2.37-2.38
P8 0.4937 0.7980 0.4683  2 Al 2.37-2.38
P9 0.5063 0.2020 0.5317  2 Al 2.37-2.38
P10 0.5063 0.2980 0.0317  2 Al 2.37-2.38
P11 0.5955 0.6387 0.1854  1 Al 2.28
P12 0.5955 0.8613 0.6854  1 Al 2.28
P13 0.8964 0.2130 0.3601  1 Al 2.26
P14 0.8964 0.2870 0.8601  1 Al 2.26
P15 0.9462 0.6563 0.4373  2 Al 2.36
P16 0.9462 0.8437 0.9373  2 Al 2.36

Computed properties:
- space-group type = P2_1/c
- formation energy from the elements (kJ/mol of formula units) = -255

2.
DFT (GGA-PBE) results for a relaxed Cs3AlTe3 crystal.

a b c (Å): 9.2737 14.7606 12.1214
angles (deg): 90.00 126.48 90.00
Closest atoms and distances in Å follow each position.
Sites, in units of the cell vectors:
Cs1 0.1230 0.1249 0.4855  5 Te 3.73-4.10
Cs2 0.1230 0.3751 0.9855  5 Te 3.73-4.10
Cs3 0.1470 0.0816 0.8876  4 Te 3.83-3.93
Cs4 0.1470 0.4184 0.3876  4 Te 3.83-3.93
Cs5 0.3734 0.6892 0.5865  5 Te 3.80-4.16, 1 Al 3.99
Cs6 0.3734 0.8108 0.0865  5 Te 3.80-4.16, 1 Al 3.99
Cs7 0.6266 0.1892 0.9135  5 Te 3.80-4.16, 1 Al 3.99
Cs8 0.6266 0.3108 0.4135  5 Te 3.80-4.16, 1 Al 3.99
Cs9 0.8530 0.5816 0.6124  4 Te 3.83-3.93
Cs10 0.8530 0.9184 0.1124  4 Te 3.83-3.93
Cs11 0.8770 0.6249 0.0145  5 Te 3.73-4.10
Cs12 0.8770 0.8751 0.5145  5 Te 3.73-4.10
Al1 0.4329 0.0592 0.3413  4 Te 2.63-2.73
Al2 0.4329 0.4408 0.8413  4 Te 2.63-2.73
Al3 0.5671 0.5592 0.1587  4 Te 2.63-2.73
Al4 0.5671 0.9408 0.6587  4 Te 2.63-2.73
Te1 0.1488 0.1658 0.1941  1 Al 2.65
Te2 0.1488 0.3342 0.6941  1 Al 2.65
Te3 0.3580 0.6066 0.8883  2 Al 2.70-2.73
Te4 0.3580 0.8934 0.3883  2 Al 2.70-2.73
Te5 0.3865 0.5575 0.2630  1 Al 2.63
Te6 0.3865 0.9425 0.7630  1 Al 2.63
Te7 0.6135 0.0575 0.2370  1 Al 2.63
Te8 0.6135 0.4425 0.7370  1 Al 2.63
Te9 0.6420 0.1066 0.6117  2 Al 2.70-2.73
Te10 0.6420 0.3934 0.1117  2 Al 2.70-2.73
Te11 0.8512 0.6658 0.3059  1 Al 2.65
Te12 0.8512 0.8342 0.8059  1 Al 2.65

Computed properties:
- space-group type = P2_1/c
- formation energy from the elements (kJ/mol of formula units) = -773
- total energy after the MP2020 corrections (eV per atom) = -3.41

3.
DFT (GGA-PBE) results for a relaxed Al3Cu crystal.

a b c (Å): 3.9242 3.9242 3.9242
angles (deg): 90.00 90.00 90.00
Closest atoms and distances in Å follow each position.
Sites, in units of the cell vectors:
Al1 0.0000 0.0000 0.5000  8 Al 2.77, 4 Cu 2.77
Al2 0.0000 0.5000 0.0000  8 Al 2.77, 4 Cu 2.77
Al3 0.5000 0.0000 0.0000  8 Al 2.77, 4 Cu 2.77
Cu1 0.5000 0.5000 0.5000  12 Al 2.77

Computed properties:
- space-group type = Pm-3m
- formation energy from the elements (kJ/mol of formula units) = -14

4.
DFT (GGA-PBE) results for a relaxed AlCu crystal.

a b c (Å): 2.9975 2.9975 2.9975
angles (deg): 90.00 90.00 90.00
Closest atoms and distances in Å follow each position.
Sites, in units of the cell vectors:
Al1 0.0000 0.0000 0.0000  8 Cu 2.60
Cu1 0.5000 0.5000 0.5000  8 Al 2.60

Computed properties:
- space-group type = Pm-3m
- formation energy from the elements (kJ/mol of formula units) = -27

5.
DFT (GGA-PBE) results for a relaxed AlCu crystal.

a b c (Å): 6.3772 6.3772 6.9203
angles (deg): 122.85 122.85 37.46
Closest atoms and distances in Å follow each position.
Sites, in units of the cell vectors:
Al1 0.0000 0.0000 0.0000  6 Cu 2.40-2.57
Al2 0.1218 0.1218 0.5043  8 Cu 2.51-2.79
Al3 0.3438 0.3438 0.0386  6 Cu 2.45-2.66
Al4 0.6562 0.6562 0.9614  6 Cu 2.45-2.66
Al5 0.8782 0.8782 0.4957  8 Cu 2.51-2.79
Cu1 0.2421 0.2421 0.2594  6 Al 2.40-2.66, 4 Cu 2.56-2.66
Cu2 0.3910 0.3910 0.7281  7 Al 2.52-2.68, 4 Cu 2.57-2.66
Cu3 0.5000 0.5000 0.5000  6 Al 2.51-2.62, 4 Cu 2.56-2.57
Cu4 0.6090 0.6090 0.2719  7 Al 2.52-2.68, 4 Cu 2.57-2.66
Cu5 0.7579 0.7579 0.7406  6 Al 2.40-2.66, 4 Cu 2.56-2.66

Computed properties:
- space-group type = C2/m
- formation energy from the elements (kJ/mol of formula units) = -41

6.
DFT (GGA-PBE) results for a relaxed AlCu4 crystal.

a b c (Å): 6.2921 6.2921 6.2921
angles (deg): 90.00 90.00 90.00
Closest atoms and distances in Å follow each position.
Sites, in units of the cell vectors:
Al1 0.0637 0.0637 0.0637  9 Cu 2.36-2.63
Al2 0.4363 0.9363 0.5637  9 Cu 2.36-2.63
Al3 0.5637 0.4363 0.9363  9 Cu 2.36-2.63
Al4 0.9363 0.5637 0.4363  9 Cu 2.36-2.63
Cu1 0.0461 0.8769 0.7023  9 Cu 2.53-2.67, 3 Al 2.56-2.68
Cu2 0.1231 0.2023 0.4539  9 Cu 2.53-2.67, 3 Al 2.56-2.68
Cu3 0.1903 0.8097 0.3097  3 Al 2.36, 3 Cu 2.53
Cu4 0.2023 0.4539 0.1231  9 Cu 2.53-2.67, 3 Al 2.56-2.68
Cu5 0.2977 0.5461 0.6231  9 Cu 2.53-2.67, 3 Al 2.56-2.68
Cu6 0.3097 0.1903 0.8097  3 Al 2.36, 3 Cu 2.53
Cu7 0.3769 0.7977 0.9539  9 Cu 2.53-2.67, 3 Al 2.56-2.68
Cu8 0.4539 0.1231 0.2023  9 Cu 2.53-2.67, 3 Al 2.56-2.68
Cu9 0.5461 0.6231 0.2977  9 Cu 2.53-2.67, 3 Al 2.56-2.68
Cu10 0.6231 0.2977 0.5461  9 Cu 2.53-2.67, 3 Al 2.56-2.68
Cu11 0.6903 0.6903 0.6903  3 Al 2.36, 3 Cu 2.53
Cu12 0.7023 0.0461 0.8769  9 Cu 2.53-2.67, 3 Al 2.56-2.68
Cu13 0.7977 0.9539 0.3769  9 Cu 2.53-2.67, 3 Al 2.56-2.68
Cu14 0.8097 0.3097 0.1903  3 Al 2.36, 3 Cu 2.53
Cu15 0.8769 0.7023 0.0461  9 Cu 2.53-2.67, 3 Al 2.56-2.68
Cu16 0.9539 0.3769 0.7977  9 Cu 2.53-2.67, 3 Al 2.56-2.68

Computed properties:
- space-group type = P2_13
- formation energy from the elements (kJ/mol of formula units) = -56

7.
DFT (GGA-PBE) results for a relaxed Al3Cu crystal.

a b c (Å): 2.8262 2.8262 7.4680
angles (deg): 90.00 90.00 90.00
Closest atoms and distances in Å follow each position.
Sites, in units of the cell vectors:
Al1 0.0000 0.0000 0.0000  12 Al 2.83-2.86
Al2 0.5000 0.5000 0.2737  4 Cu 2.62, 8 Al 2.83-2.86
Al3 0.5000 0.5000 0.7263  4 Cu 2.62, 8 Al 2.83-2.86
Cu1 0.0000 0.0000 0.5000  8 Al 2.62, 4 Cu 2.83

Computed properties:
- space-group type = P4/mmm
- formation energy from the elements (kJ/mol of formula units) = -35

8.
DFT (GGA-PBE) results for a relaxed Dy6Al7Cu16 crystal.

a b c (Å): 8.6970 8.6970 8.6970
angles (deg): 60.00 60.00 60.00
Closest atoms and distances in Å follow each position.
Sites, in units of the cell vectors:
Dy1 0.2135 0.2135 0.7865  8 Cu 2.93-3.05, 4 Al 3.11
Dy2 0.2135 0.7865 0.2135  8 Cu 2.93-3.05, 4 Al 3.11
Dy3 0.2135 0.7865 0.7865  8 Cu 2.93-3.05, 4 Al 3.11
Dy4 0.7865 0.2135 0.2135  8 Cu 2.93-3.05, 4 Al 3.11
Dy5 0.7865 0.2135 0.7865  8 Cu 2.93-3.05, 4 Al 3.11
Dy6 0.7865 0.7865 0.2135  8 Cu 2.93-3.05, 4 Al 3.11
Al1 0.0000 0.0000 0.5000  8 Cu 2.51-2.69
Al2 0.0000 0.5000 0.0000  8 Cu 2.51-2.69
Al3 0.0000 0.5000 0.5000  8 Cu 2.51-2.69
Al4 0.5000 0.0000 0.0000  8 Cu 2.51-2.69
Al5 0.5000 0.0000 0.5000  8 Cu 2.51-2.69
Al6 0.5000 0.5000 0.0000  8 Cu 2.51-2.69
Al7 0.5000 0.5000 0.5000  8 Cu 2.59
Cu1 0.1351 0.6216 0.6216  4 Al 2.59-2.69, 3 Cu 2.68
Cu2 0.1731 0.1731 0.1731  3 Al 2.51, 6 Cu 2.67-2.68
Cu3 0.1731 0.1731 0.4806  3 Al 2.51, 6 Cu 2.67-2.68
Cu4 0.1731 0.4806 0.1731  3 Al 2.51, 6 Cu 2.67-2.68
Cu5 0.3784 0.3784 0.3784  4 Al 2.59-2.69, 3 Cu 2.68
Cu6 0.3784 0.3784 0.8649  4 Al 2.59-2.69, 3 Cu 2.68
Cu7 0.3784 0.8649 0.3784  4 Al 2.59-2.69, 3 Cu 2.68
Cu8 0.4806 0.1731 0.1731  3 Al 2.51, 6 Cu 2.67-2.68
Cu9 0.5194 0.8269 0.8269  3 Al 2.51, 6 Cu 2.67-2.68
Cu10 0.6216 0.1351 0.6216  4 Al 2.59-2.69, 3 Cu 2.68
Cu11 0.6216 0.6216 0.1351  4 Al 2.59-2.69, 3 Cu 2.68
Cu12 0.6216 0.6216 0.6216  4 Al 2.59-2.69, 3 Cu 2.68
Cu13 0.8269 0.5194 0.8269  3 Al 2.51, 6 Cu 2.67-2.68
Cu14 0.8269 0.8269 0.5194  3 Al 2.51, 6 Cu 2.67-2.68
Cu15 0.8269 0.8269 0.8269  3 Al 2.51, 6 Cu 2.67-2.68
Cu16 0.8649 0.3784 0.3784  4 Al 2.59-2.69, 3 Cu 2.68

Computed properties:
- space-group type = Fm-3m
- formation energy from the elements (kJ/mol of formula units) = -1031